Record 1
Below is an optimized crystal structure of Cr2TeP3O12, with properties calculated at the PBE+U level.

a = 8.904 Å, b = 8.904 Å, c = 8.904 Å
α = 57.57°, β = 57.57°, γ = 57.57°
Sites, in units of the cell vectors:
Cr: 0.147 0.147 0.147
Cr: 0.353 0.353 0.353
Cr: 0.647 0.647 0.647
Cr: 0.853 0.853 0.853
Te: 0.000 0.000 0.000
Te: 0.500 0.500 0.500
P: 0.038 0.750 0.462
P: 0.250 0.538 0.962
P: 0.462 0.038 0.750
P: 0.538 0.962 0.250
P: 0.750 0.462 0.038
P: 0.962 0.250 0.538
O: 0.013 0.790 0.621
O: 0.064 0.922 0.269
O: 0.078 0.731 0.936
O: 0.121 0.290 0.513
O: 0.210 0.379 0.987
O: 0.231 0.578 0.436
O: 0.269 0.064 0.922
O: 0.290 0.513 0.121
O: 0.379 0.987 0.210
O: 0.422 0.564 0.769
O: 0.436 0.231 0.578
O: 0.487 0.879 0.710
O: 0.513 0.121 0.290
O: 0.564 0.769 0.422
O: 0.578 0.436 0.231
O: 0.621 0.013 0.790
O: 0.710 0.487 0.879
O: 0.731 0.936 0.078
O: 0.769 0.422 0.564
O: 0.790 0.621 0.013
O: 0.879 0.710 0.487
O: 0.922 0.269 0.064
O: 0.936 0.078 0.731
O: 0.987 0.210 0.379

Computed properties:
- MP2020-corrected energy: -7.79 eV per atom
- Mass density: 3.6 g cm⁻³
- DFT formation energy: -42.13 eV/f.u.
- Symmetry: No. 167

=====

Record 2
Below is an optimized crystal structure of TiCrP3O12, with properties calculated at the PBE+U level.

a = 8.774 Å, b = 8.774 Å, c = 8.774 Å
α = 58.84°, β = 58.84°, γ = 58.84°
Sites, in units of the cell vectors:
Ti: 0.000 0.000 0.000
Ti: 0.500 0.500 0.500
Cr: 0.282 0.282 0.282
Cr: 0.782 0.782 0.782
P: 0.104 0.397 0.668
P: 0.168 0.897 0.604
P: 0.397 0.668 0.104
P: 0.604 0.168 0.897
P: 0.668 0.104 0.397
P: 0.897 0.604 0.168
O: 0.068 0.420 0.195
O: 0.075 0.224 0.850
O: 0.131 0.362 0.499
O: 0.137 0.932 0.773
O: 0.195 0.068 0.420
O: 0.224 0.850 0.075
O: 0.273 0.432 0.637
O: 0.350 0.724 0.575
O: 0.362 0.499 0.131
O: 0.420 0.195 0.068
O: 0.432 0.637 0.273
O: 0.499 0.131 0.362
O: 0.568 0.695 0.920
O: 0.575 0.350 0.724
O: 0.631 0.999 0.862
O: 0.637 0.273 0.432
O: 0.695 0.920 0.568
O: 0.724 0.575 0.350
O: 0.773 0.137 0.932
O: 0.850 0.075 0.224
O: 0.862 0.631 0.999
O: 0.920 0.568 0.695
O: 0.932 0.773 0.137
O: 0.999 0.862 0.631

Computed properties:
- MP2020-corrected energy: -8.09 eV per atom
- Mass density: 2.7 g cm⁻³
- DFT formation energy: -44.36 eV/f.u.
- Symmetry: No. 161

=====

Record 3
Below is an optimized crystal structure of Ti3V2CrP6O24, with properties calculated at the PBE+U level.

a = 8.611 Å, b = 8.611 Å, c = 8.611 Å
α = 60.23°, β = 60.23°, γ = 60.23°
Sites, in units of the cell vectors:
Ti: 0.000 0.000 0.000
Ti: 0.210 0.210 0.210
Ti: 0.709 0.709 0.709
V: 0.354 0.354 0.354
V: 0.855 0.855 0.855
Cr: 0.497 0.497 0.497
P: 0.105 0.810 0.399
P: 0.311 0.604 0.895
P: 0.399 0.105 0.810
P: 0.604 0.895 0.311
P: 0.810 0.399 0.105
P: 0.895 0.311 0.604
O: 0.041 0.854 0.240
O: 0.092 0.297 0.442
O: 0.116 0.768 0.916
O: 0.168 0.971 0.356
O: 0.240 0.041 0.854
O: 0.267 0.615 0.413
O: 0.297 0.442 0.092
O: 0.347 0.544 0.738
O: 0.356 0.168 0.971
O: 0.413 0.267 0.615
O: 0.442 0.092 0.297
O: 0.472 0.668 0.853
O: 0.544 0.738 0.347
O: 0.593 0.941 0.796
O: 0.615 0.413 0.267
O: 0.668 0.853 0.472
O: 0.738 0.347 0.544
O: 0.768 0.916 0.116
O: 0.796 0.593 0.941
O: 0.853 0.472 0.668
O: 0.854 0.240 0.041
O: 0.916 0.116 0.768
O: 0.941 0.796 0.593
O: 0.971 0.356 0.168

Computed properties:
- MP2020-corrected energy: -8.49 eV per atom
- Mass density: 3.2 g cm⁻³
- DFT formation energy: -102.99 eV/f.u.
- Symmetry: No. 146

=====

Record 4
Below is an optimized crystal structure of Ti3VCr2P6O24, with properties calculated at the PBE+U level.

a = 8.725 Å, b = 8.725 Å, c = 8.725 Å
α = 59.35°, β = 59.35°, γ = 59.35°
Sites, in units of the cell vectors:
Ti: 0.000 0.000 0.000
Ti: 0.210 0.210 0.210
Ti: 0.709 0.709 0.709
V: 0.498 0.498 0.498
Cr: 0.355 0.355 0.355
Cr: 0.855 0.855 0.855
P: 0.105 0.812 0.396
P: 0.313 0.604 0.898
P: 0.396 0.105 0.812
P: 0.604 0.898 0.313
P: 0.812 0.396 0.105
P: 0.898 0.313 0.604
O: 0.047 0.860 0.233
O: 0.092 0.297 0.439
O: 0.122 0.773 0.921
O: 0.160 0.977 0.354
O: 0.233 0.047 0.860
O: 0.267 0.622 0.410
O: 0.297 0.439 0.092
O: 0.345 0.552 0.741
O: 0.354 0.160 0.977
O: 0.410 0.267 0.622
O: 0.439 0.092 0.297
O: 0.478 0.660 0.855
O: 0.552 0.741 0.345
O: 0.587 0.937 0.798
O: 0.622 0.410 0.267
O: 0.660 0.855 0.478
O: 0.741 0.345 0.552
O: 0.773 0.921 0.122
O: 0.798 0.587 0.937
O: 0.855 0.478 0.660
O: 0.860 0.233 0.047
O: 0.921 0.122 0.773
O: 0.937 0.798 0.587
O: 0.977 0.354 0.160

Computed properties:
- MP2020-corrected energy: -8.45 eV per atom
- Mass density: 3.1 g cm⁻³
- DFT formation energy: -100.88 eV/f.u.
- Symmetry: No. 146